Below is a relaxed structure of SmDyFe4, with properties calculated at the meta-GGA r2SCAN level.

Its crystal system is cubic. The energy comes out at -476.0 eV/cell. The value obtained for the energy of formation from the pure elements is 0.063 eV per atom.

The structure belongs to space group F-43m (No. 216); the cell edges are 7.3616, 7.3616 and 7.3616 Å and the angles 90.00°, 90.00° and 90.00°. The inequivalent atoms are Sm at (0.0000, 0.0000, 0.0000), Dy at (0.2500, 0.2500, 0.7500) and Fe at (0.1249, 0.1249, 0.3751).